No. 1
This record from Materials Project describes crystalline Fe2Mo at its relaxed geometry. The functional is r²SCAN.

Results
The calculated volume comes out at 149.5 Å³/cell.

a = 4.6744 Å, b = 4.6743 Å, c = 7.9446 Å
α = 90.00°, β = 90.00°, γ = 120.53°
With the nearest neighbours (Å) after each atom.
Atoms (fractional coordinates):
Fe  0.8308  0.6586  0.7500  6 Fe 2.27-2.42
Fe  0.0000  0.0000  0.0000  6 Fe 2.42
Fe  0.0000  0.0000  0.5000  6 Fe 2.42
Mo  0.6647  0.3353  0.4318  12 Fe 2.73-2.86, 4 Mo 2.89-2.91
Mo  0.3353  0.6647  0.9319  12 Fe 2.73-2.86, 4 Mo 2.89-2.91
Fe  0.1704  0.8296  0.2500  6 Fe 2.28-2.42
Fe  0.3414  0.1692  0.7500  6 Fe 2.27-2.42
Fe  0.6587  0.8309  0.2500  6 Fe 2.27-2.42
Fe  0.1691  0.3413  0.2500  6 Fe 2.27-2.42
Mo  0.6647  0.3353  0.0682  12 Fe 2.73-2.86, 4 Mo 2.89-2.91
Mo  0.3353  0.6647  0.5681  12 Fe 2.73-2.86, 4 Mo 2.89-2.91
Fe  0.8296  0.1704  0.7500  6 Fe 2.28-2.42

No. 2
This record from Materials Project describes crystalline FeMoO4 at its relaxed geometry. The functional is r²SCAN.

Results
The calculated volume comes out at 319.0 Å³/cell.

a = 6.8968 Å, b = 6.8953 Å, c = 7.0755 Å
α = 76.87°, β = 77.10°, γ = 84.39°
With the nearest neighbours (Å) after each atom.
Atoms (fractional coordinates):
O  0.8847  0.1953  0.2011  1 Mo 1.81
O  0.7898  0.4973  0.8908  1 Mo 1.75
O  0.5188  0.2088  0.5355  1 Mo 1.74
O  0.8611  0.8614  0.5383  1 Mo 1.85
O  0.1429  0.1437  0.4540  1 Mo 1.86, 1 Fe 2.08
Mo  0.7522  0.2454  0.9994  4 O 1.74-1.83
O  0.1939  0.8852  0.2027  1 Mo 1.82
O  0.1138  0.8071  0.7974  1 Mo 1.83, 1 Fe 2.03
O  0.4983  0.7867  0.8963  1 Mo 1.75
Fe  0.2029  0.2027  0.1451  6 O 2.00-2.14
Mo  0.7353  0.7366  0.3975  4 O 1.75-1.85
O  0.7933  0.4812  0.4628  1 Mo 1.75
O  0.5011  0.2120  0.1041  1 Mo 1.74
Mo  0.2648  0.2645  0.6041  4 O 1.74-1.86
O  0.4804  0.7937  0.4651  1 Mo 1.75
O  0.2098  0.5009  0.1075  1 Mo 1.74
Fe  0.1843  0.8148  0.5018  6 O 1.99-2.22
O  0.2084  0.5189  0.5367  1 Mo 1.74
Fe  0.8146  0.1845  0.5002  6 O 1.99-2.21
Mo  0.2464  0.7519  0.0017  4 O 1.74-1.83
O  0.8074  0.8120  0.1362  1 Mo 1.77
O  0.1917  0.1896  0.8678  1 Mo 1.79
Fe  0.7972  0.7944  0.8569  6 O 2.01-2.15
O  0.8072  0.1114  0.7970  1 Mo 1.83, 1 Fe 2.04

No. 3
This record from Materials Project describes crystalline Fe2MoP12 at its relaxed geometry. The functional is r²SCAN.

Results
The calculated volume comes out at 862.4 Å³/cell.

a = 5.6706 Å, b = 11.0886 Å, c = 13.7153 Å
α = 90.00°, β = 90.00°, γ = 90.00°
With the nearest neighbours (Å) after each atom.
Atoms (fractional coordinates):
P  0.3805  0.7704  0.1893  1 Fe 2.15, 3 P 2.23-2.25
Fe  0.6036  0.0415  0.8495  6 P 2.15-2.25
P  0.0163  0.8043  0.8311  3 P 2.23-2.25, 1 Mo 2.48
P  0.5163  0.6957  0.3311  3 P 2.23-2.25, 1 Mo 2.48
Fe  0.3964  0.9585  0.1505  6 P 2.15-2.25
P  0.0316  0.4999  0.7976  2 Fe 2.21-2.24, 2 P 2.23-2.24
P  0.2655  0.5606  0.5918  2 P 2.24-2.26, 1 Fe 2.25
P  0.7536  0.3989  0.0080  1 Fe 2.23, 2 P 2.26
P  0.7345  0.0606  0.5918  2 P 2.24-2.26, 1 Fe 2.25
P  0.4837  0.3043  0.6689  3 P 2.23-2.25, 1 Mo 2.48
P  0.7655  0.5606  0.9082  2 P 2.24-2.26, 1 Fe 2.25
P  0.9837  0.3043  0.8311  3 P 2.23-2.25, 1 Mo 2.48
P  0.5316  0.4999  0.7024  2 Fe 2.21-2.24, 2 P 2.23-2.24
P  0.8805  0.7704  0.3107  1 Fe 2.15, 3 P 2.23-2.25
Fe  0.1036  0.0415  0.6505  6 P 2.15-2.25
P  0.5612  0.8558  0.9128  2 P 2.23-2.26, 1 Fe 2.25
Fe  0.8964  0.9585  0.3495  6 P 2.15-2.25
P  0.2464  0.8989  0.0080  1 Fe 2.23, 2 P 2.26
P  0.9388  0.3558  0.5872  2 P 2.23-2.26, 1 Fe 2.25
P  0.4388  0.3558  0.9128  2 P 2.23-2.26, 1 Fe 2.25
P  0.1195  0.2296  0.6893  1 Fe 2.15, 3 P 2.23-2.25
P  0.0316  0.0001  0.2024  2 Fe 2.21-2.24, 2 P 2.23-2.24
Fe  0.8964  0.5415  0.6505  6 P 2.15-2.25
Mo  0.6002  0.2500  0.5000  8 P 2.48-2.57
P  0.4837  0.1957  0.3311  3 P 2.23-2.25, 1 Mo 2.48
P  0.2345  0.0606  0.9082  2 P 2.24-2.26, 1 Fe 2.25
P  0.4684  0.5001  0.2976  2 Fe 2.21-2.24, 2 P 2.23-2.24
P  0.7345  0.4394  0.4082  2 P 2.24-2.26, 1 Fe 2.25
Fe  0.6036  0.4585  0.1505  6 P 2.15-2.25
P  0.6195  0.2296  0.8107  1 Fe 2.15, 3 P 2.23-2.25
P  0.9684  0.9999  0.7976  2 Fe 2.21-2.24, 2 P 2.23-2.24
Mo  0.3998  0.7500  0.5000  8 P 2.48-2.57
Mo  0.1002  0.2500  0.0000  8 P 2.48-2.57
P  0.1195  0.2704  0.3107  1 Fe 2.15, 3 P 2.23-2.25
Fe  0.3964  0.5415  0.8495  6 P 2.15-2.25
P  0.8805  0.7296  0.6893  1 Fe 2.15, 3 P 2.23-2.25
P  0.3805  0.7296  0.8107  1 Fe 2.15, 3 P 2.23-2.25
Fe  0.1036  0.4585  0.3495  6 P 2.15-2.25
P  0.5316  0.0001  0.2976  2 Fe 2.21-2.24, 2 P 2.23-2.24
P  0.9684  0.5001  0.2024  2 Fe 2.21-2.24, 2 P 2.23-2.24
P  0.9388  0.1442  0.4128  2 P 2.23-2.26, 1 Fe 2.25
P  0.7464  0.8989  0.4920  1 Fe 2.23, 2 P 2.26
P  0.2655  0.9394  0.4082  2 P 2.24-2.26, 1 Fe 2.25
P  0.2536  0.1011  0.5080  1 Fe 2.23, 2 P 2.26
Mo  0.8998  0.7500  0.0000  8 P 2.48-2.57
P  0.0163  0.6957  0.1689  3 P 2.23-2.25, 1 Mo 2.48
P  0.9837  0.1957  0.1689  3 P 2.23-2.25, 1 Mo 2.48
P  0.2536  0.3989  0.4920  1 Fe 2.23, 2 P 2.26
P  0.5612  0.6442  0.0872  2 P 2.23-2.26, 1 Fe 2.25
P  0.0612  0.8558  0.5872  2 P 2.23-2.26, 1 Fe 2.25
P  0.5163  0.8043  0.6689  3 P 2.23-2.25, 1 Mo 2.48
P  0.4388  0.1442  0.0872  2 P 2.23-2.26, 1 Fe 2.25
P  0.6195  0.2704  0.1893  1 Fe 2.15, 3 P 2.23-2.25
P  0.2345  0.4394  0.0918  2 P 2.24-2.26, 1 Fe 2.25
P  0.7655  0.9394  0.0918  2 P 2.24-2.26, 1 Fe 2.25
P  0.7464  0.6011  0.5080  1 Fe 2.23, 2 P 2.26
P  0.0612  0.6442  0.4128  2 P 2.23-2.26, 1 Fe 2.25
P  0.7536  0.1011  0.9920  1 Fe 2.23, 2 P 2.26
P  0.4684  0.9999  0.7024  2 Fe 2.21-2.24, 2 P 2.23-2.24
P  0.2464  0.6011  0.9920  1 Fe 2.23, 2 P 2.26

No. 4
This record from Materials Project describes crystalline FeMoP at its relaxed geometry. The functional is r²SCAN.

Results
The calculated volume comes out at 142.6 Å³/cell.

a = 3.6290 Å, b = 5.8844 Å, c = 6.6789 Å
α = 90.00°, β = 90.00°, γ = 90.00°
With the nearest neighbours (Å) after each atom.
Atoms (fractional coordinates):
Mo  0.2500  0.4732  0.1728  5 P 2.42-2.58, 1 Fe 2.69
P  0.7500  0.2707  0.3805  4 Fe 2.20-2.26, 1 Mo 2.42
Mo  0.7500  0.5268  0.8272  5 P 2.42-2.58, 1 Fe 2.69
P  0.2500  0.2293  0.8805  4 Fe 2.20-2.26, 1 Mo 2.42
P  0.2500  0.7293  0.6195  4 Fe 2.20-2.26, 1 Mo 2.42
Fe  0.7500  0.1392  0.0628  4 P 2.20-2.26
Fe  0.2500  0.8608  0.9372  4 P 2.20-2.26
Mo  0.2500  0.9732  0.3273  5 P 2.42-2.58, 1 Fe 2.69
Fe  0.2500  0.3608  0.5627  4 P 2.20-2.26
P  0.7500  0.7707  0.1195  4 Fe 2.20-2.26, 1 Mo 2.42
Mo  0.7500  0.0268  0.6727  5 P 2.42-2.58, 1 Fe 2.69
Fe  0.7500  0.6392  0.4373  4 P 2.20-2.26

No. 5
This record from Materials Project describes crystalline Ta2FeMo at its relaxed geometry. The functional is r²SCAN.

Results
The calculated volume comes out at 61.4 Å³/cell.

a = 4.4233 Å, b = 4.4246 Å, c = 4.4246 Å
α = 60.12°, β = 60.11°, γ = 60.11°
With the nearest neighbours (Å) after each atom.
Atoms (fractional coordinates):
Mo  0.7500  0.7500  0.7500  8 Ta 2.71
Ta  0.0001  0.0001  0.0001  4 Fe 2.71, 4 Mo 2.71
Fe  0.2500  0.2500  0.2500  8 Ta 2.71
Ta  0.4999  0.4999  0.4999  4 Fe 2.71, 4 Mo 2.71

No. 6
This record from Materials Project describes crystalline Fe8N at its relaxed geometry. The functional is r²SCAN.

Results
The calculated volume comes out at 100.8 Å³/cell.

a = 5.0858 Å, b = 5.0846 Å, c = 5.0846 Å
α = 105.07°, β = 111.71°, γ = 111.71°
With the nearest neighbours (Å) after each atom.
Atoms (fractional coordinates):
Fe  0.5000  0.7500  0.2500  8 Fe 2.54
Fe  0.0000  0.2986  0.2986  1 N 1.85
Fe  0.0000  0.7586  0.2414  1 N 1.95
Fe  0.0000  0.7014  0.7014  1 N 1.85
Fe  0.0000  0.2414  0.7586  1 N 1.95
Fe  0.5179  0.7589  0.7589  1 N 1.95
Fe  0.5000  0.2500  0.7500  8 Fe 2.54
Fe  0.4821  0.2411  0.2411  1 N 1.95
N  0.0000  0.0000  0.0000  6 Fe 1.85-1.95

No. 7
This record from Materials Project describes crystalline Fe3RhN at its relaxed geometry. The functional is r²SCAN.

Results
The calculated volume comes out at 56.6 Å³/cell.

a = 3.8397 Å, b = 3.8396 Å, c = 3.8389 Å
α = 90.00°, β = 90.00°, γ = 90.00°
With the nearest neighbours (Å) after each atom.
Atoms (fractional coordinates):
Rh  0.0000  0.0000  0.0000  12 Fe 2.71-2.72
Fe  0.5000  0.5000  0.0000  2 N 1.92
Fe  0.5000  0.0000  0.5000  2 N 1.92
N  0.5000  0.5000  0.5000  6 Fe 1.92
Fe  0.0000  0.5000  0.5000  2 N 1.92

No. 8
This record from Materials Project describes crystalline Sr3FeN3 at its relaxed geometry. The functional is r²SCAN.

Results
The calculated volume comes out at 266.0 Å³/cell.

a = 7.6268 Å, b = 7.6263 Å, c = 5.2810 Å
α = 90.00°, β = 90.00°, γ = 120.00°
With the nearest neighbours (Å) after each atom.
Atoms (fractional coordinates):
N  0.8829  0.5709  0.7500  1 Fe 1.74
Sr  0.6403  0.7255  0.7500  5 N 2.65-2.82
Sr  0.2745  0.9147  0.7500  5 N 2.65-2.82
Sr  0.3598  0.2746  0.2500  5 N 2.64-2.82
Fe  0.3333  0.6667  0.2500  3 N 1.74
N  0.6881  0.1171  0.7500  1 Fe 1.74
Sr  0.9147  0.6401  0.2500  5 N 2.64-2.82
Sr  0.0853  0.3598  0.7500  5 N 2.65-2.82
N  0.1171  0.4290  0.2500  1 Fe 1.74
Fe  0.6667  0.3333  0.7500  3 N 1.74
N  0.4291  0.3120  0.7500  1 Fe 1.74
N  0.5710  0.6882  0.2500  1 Fe 1.74
N  0.3117  0.8829  0.2500  1 Fe 1.74
Sr  0.7254  0.0853  0.2500  5 N 2.64-2.82

Number 1: energy relative to the elements 0.21 eV per atom. Number 2: energy relative to the elements -1.92 eV per atom. Number 3: energy relative to the elements -0.35 eV per atom. Number 4: energy relative to the elements -0.44 eV per atom. Number 5: energy relative to the elements -0.07 eV per atom. Number 6: energy relative to the elements -0.06 eV per atom. Number 7: energy relative to the elements -0.15 eV per atom. Number 8: energy relative to the elements -0.80 eV per atom.